*i*
Ba2MgNbVO6 | PBE+U | relaxed

Unit cell a=6.090 b=6.090 c=6.538 alpha=116.93 beta=116.93 gamma=60.26
Positions (direct):
Ba  0.000  0.000  0.000
Ba  0.576  0.576  0.715
Mg  0.212  0.212  0.634
Nb  0.788  0.788  0.363
V  0.377  0.377  0.134
O  0.010  0.554  0.122
O  0.017  0.017  0.583
O  0.017  0.557  0.594
O  0.554  0.010  0.122
O  0.557  0.017  0.594
O  0.558  0.558  0.129

Properties
* total magnetization: 3.97 μB/cell
* space group: Cm, No. 8



*ii*
Ba2MgNbVO6 | PBE+U | relaxed

Unit cell a=6.342 b=6.342 c=6.342 alpha=124.73 beta=123.99 gamma=82.60
Positions (direct):
Ba  0.189  0.189  0.000
Ba  0.811  0.811  0.000
Mg  0.500  0.500  0.000
Nb  0.000  0.500  0.500
V  0.500  0.000  0.500
O  0.217  0.717  0.500
O  0.261  0.260  0.521
O  0.261  0.740  0.002
O  0.739  0.260  0.998
O  0.739  0.740  0.479
O  0.783  0.283  0.500

Properties
* total magnetization: 2.02 μB/cell
* space group: Immm, No. 71



Here is how they stack up, most stable first: *i*, *ii*.



*i*
BaMgNi4O8 | PBE+U | relaxed

Unit cell a=5.858 b=5.858 c=6.420 alpha=116.15 beta=116.15 gamma=64.21
Positions (direct):
Ba  0.000  0.000  0.000
Mg  0.500  0.500  0.000
Ni  0.000  0.000  0.500
Ni  0.000  0.500  0.500
Ni  0.500  0.000  0.500
Ni  0.500  0.500  0.500
O  0.242  0.242  0.694
O  0.253  0.701  0.698
O  0.284  0.284  0.323
O  0.299  0.747  0.302
O  0.701  0.253  0.698
O  0.716  0.716  0.677
O  0.747  0.299  0.302
O  0.758  0.758  0.306

Properties
* total magnetization: 4.00 μB/cell
* space group: C2/m, No. 12



*ii*
BaMgNi4O8 | PBE+U | relaxed

Unit cell a=5.941 b=5.941 c=6.583 alpha=116.86 beta=116.86 gamma=59.99
Positions (direct):
Ba  0.000  0.000  0.000
Mg  0.647  0.647  0.939
Ni  0.495  0.495  0.486
Ni  0.497  0.999  0.495
Ni  0.999  0.497  0.495
Ni  0.999  0.999  0.494
O  0.218  0.218  0.658
O  0.265  0.713  0.691
O  0.284  0.284  0.315
O  0.284  0.746  0.315
O  0.713  0.265  0.691
O  0.713  0.713  0.691
O  0.746  0.284  0.315
O  0.768  0.768  0.303

Properties
* total magnetization: 4.00 μB/cell
* space group: Cm, No. 8



Here is how they stack up, most stable first: *ii*, *i*.